1.
## Li5Fe3Co2O10 (PBE with a Hubbard U)

Data for a geometry-optimized Li5Fe3Co2O10 structure. Values from VASP.

* density: 4.26 g/cm3
* excess energy over the best structure of this formula in the dataset: 0 meV per atom
* energy of formation: -1.78 eV per atom
* spin magnetization: 0.750 μB/atom
* total DFT energy (no corrections): -117.4 eV for the cell shown
* MP2020-corrected energy: -6.715 eV per atom

Cell and atoms, written as Quantum ESPRESSO input:
```
&SYSTEM
  ibrav = 0, nat = 20, ntyp = 4
/
ATOMIC_SPECIES
Li 6.94 Li.upf
Fe 55.84 Fe.upf
Co 58.93 Co.upf
O 16.00 O.upf
ATOMIC_POSITIONS angstrom
Li 0.0000 0.0000 0.0000
Li -0.7009 -0.9331 5.2819
Li 0.7170 2.7440 0.6308
Li 1.8135 -0.4402 6.6291
Li 3.2314 3.2370 1.9779
Fe -0.0267 0.9093 2.8499
Fe 1.7796 -1.3897 3.6299
Fe 2.5572 1.3946 4.4099
Co -0.0335 1.8376 5.9336
Co 2.5640 0.4663 1.3262
O -1.5929 0.7386 6.0705
O -0.8360 2.4599 4.0018
O 0.9556 -0.6036 1.9242
O 0.2190 -1.7059 6.9272
O 0.9301 0.2024 4.6193
O 1.6005 2.1014 2.6405
O 2.3116 4.0097 0.3326
O 1.5750 2.9075 5.3357
O 3.3665 -0.1561 3.2580
O 4.1234 1.5652 1.1894
CELL_PARAMETERS angstrom
5.0679 0.0000 0.0000
-1.0287 5.0833 0.0000
-1.5086 -2.7795 7.2598
```

2.
## Li8Fe9CoO20 (PBE with a Hubbard U)

Data for a geometry-optimized Li8Fe9CoO20 structure. Values from VASP.

* density: 4.17 g/cm3
* energy of formation: -1.82 eV per atom
* spin magnetization: 1.184 μB/atom
* total DFT energy (no corrections): -231.0 eV for the cell shown
* MP2020-corrected energy: -7.017 eV per atom

Cell and atoms, written as Quantum ESPRESSO input:
```
&SYSTEM
  ibrav = 0, nat = 38, ntyp = 4
/
ATOMIC_SPECIES
Li 6.94 Li.upf
Fe 55.84 Fe.upf
Co 58.93 Co.upf
O 16.00 O.upf
ATOMIC_POSITIONS angstrom
Li 0.0216 0.0000 4.2025
Li -1.4118 1.4781 14.8351
Li 0.1043 0.0000 12.5964
Li 1.5339 1.4781 2.0649
Li 1.5754 1.4781 19.1016
Li 3.0050 0.0000 8.5702
Li 3.0877 0.0000 16.9641
Li 4.5211 1.4781 6.3315
Fe 0.0000 0.0000 0.0000
Fe -1.3224 1.4781 19.0785
Fe 0.1243 0.0000 8.5686
Fe 1.5114 1.4781 6.3691
Fe 0.1019 0.0000 16.9076
Fe 3.0074 0.0000 4.2590
Fe 1.5979 1.4781 14.7975
Fe 2.9850 0.0000 12.5980
Fe 4.4317 1.4781 2.0881
Co -1.4296 1.4781 10.5833
O -1.5280 1.4781 12.4885
O -0.1039 0.0000 2.0640
O 0.0876 0.0000 6.4747
O -1.3151 1.4781 16.9809
O -0.2027 0.0000 10.5759
O -1.5659 1.4781 21.1325
O 0.1618 0.0000 14.8512
O 1.5809 1.4781 4.3199
O 1.4755 1.4781 8.3978
O 0.0543 0.0000 18.9307
O 3.0550 0.0000 2.2358
O 1.6338 1.4781 12.7687
O 2.9475 0.0000 6.3154
O 1.5284 1.4781 16.8467
O 4.6752 1.4781 0.0341
O 3.3120 0.0000 10.5907
O 4.4244 1.4781 4.1857
O 3.0217 0.0000 14.6919
O 3.2132 0.0000 19.1025
O 4.6373 1.4781 8.6781
CELL_PARAMETERS angstrom
5.9684 0.0000 0.0000
0.0000 2.9562 0.0000
-2.8591 0.0000 21.1666
```

3.
## Li5Fe2Co5O12 (PBE with a Hubbard U)

Data for a geometry-optimized Li5Fe2Co5O12 structure. Values from VASP.

* density: 4.85 g/cm3
* energy of formation: -1.64 eV per atom
* spin magnetization: 1.000 μB/atom
* total DFT energy (no corrections): -139.9 eV for the cell shown
* MP2020-corrected energy: -6.701 eV per atom

Cell and atoms, written as Quantum ESPRESSO input:
```
&SYSTEM
  ibrav = 0, nat = 24, ntyp = 4
/
ATOMIC_SPECIES
Li 6.94 Li.upf
Fe 55.84 Fe.upf
Co 58.93 Co.upf
O 16.00 O.upf
ATOMIC_POSITIONS angstrom
Li 0.0000 0.0000 0.0000
Li -0.1616 -0.0441 7.3281
Li 0.8114 -1.4459 2.3097
Li 3.3051 -0.0441 2.3260
Li 2.3321 -1.4459 7.3443
Fe 2.5252 1.4671 0.0000
Fe 1.5718 -2.9800 4.8270
Co 0.7711 1.4422 2.3298
Co 1.5718 2.9057 4.8270
Co 1.5718 0.0037 4.8270
Co 2.3724 1.4422 7.3242
Co 2.5252 -1.4649 0.0000
O 1.5755 2.8791 1.1475
O -0.0380 0.0638 3.7408
O 0.7700 1.3881 6.0391
O 1.5680 2.8791 8.5065
O 1.7337 -0.0149 1.1060
O 2.3735 1.3881 3.6149
O 0.7642 -1.5641 5.9166
O 1.4098 -0.0149 8.5480
O 1.6928 -2.8503 1.1291
O 2.3793 -1.5641 3.7374
O 3.1815 0.0638 5.9133
O 1.4507 -2.8503 8.5250
CELL_PARAMETERS angstrom
2.5252 -4.4475 0.0000
2.5252 4.4475 0.0000
-1.9070 0.0000 9.6540
```

4.
## Li4Fe3CoO8 (PBE with a Hubbard U)

Data for a geometry-optimized Li4Fe3CoO8 structure. Values from VASP.

* density: 4.34 g/cm3
* excess energy over the best structure of this formula in the dataset: 5 meV per atom
* energy of formation: -1.88 eV per atom
* spin magnetization: 0.938 μB/atom
* total DFT energy (no corrections): -95.9 eV for the cell shown
* MP2020-corrected energy: -6.864 eV per atom

Cell and atoms, written as Quantum ESPRESSO input:
```
&SYSTEM
  ibrav = 0, nat = 16, ntyp = 4
/
ATOMIC_SPECIES
Li 6.94 Li.upf
Fe 55.84 Fe.upf
Co 58.93 Co.upf
O 16.00 O.upf
ATOMIC_POSITIONS angstrom
Li 0.0000 0.0000 0.0000
Li -1.4715 -0.8496 4.8777
Li -1.4715 0.8496 9.7555
Li 0.0000 1.6992 4.8777
Fe -2.9430 0.0000 7.3166
Fe -1.4715 0.8496 2.4389
Fe 1.4715 0.8496 2.4389
Co 0.0000 0.0000 7.3166
O 0.0000 0.0000 3.5631
O -1.4297 -0.8254 8.4173
O 0.0000 -1.6508 6.2159
O -1.4297 0.8254 6.2159
O 1.4297 -0.8254 8.4173
O 0.0000 1.6508 8.4173
O 1.4297 0.8254 6.2159
O 0.0000 0.0000 11.0701
CELL_PARAMETERS angstrom
2.9430 1.6992 4.8777
-2.9430 1.6992 4.8777
0.0000 -3.3983 4.8777
```